# 1
## Mg14ZrSn (PBE-GGA)

Data for a relaxed structure of Mg14ZrSn.

Cell lengths 6.353, 6.353, 10.433 Å; angles 90.00, 90.00, 120.00 degrees
Positions (direct):
Mg 0.000 0.000 0.243
Mg 0.000 0.000 0.757
Mg 0.009 0.504 0.246
Mg 0.009 0.504 0.754
Mg 0.331 0.166 0.500
Mg 0.339 0.170 0.000
Mg 0.496 0.504 0.246
Mg 0.496 0.504 0.754
Mg 0.496 0.991 0.246
Mg 0.496 0.991 0.754
Mg 0.830 0.170 0.000
Mg 0.830 0.661 0.000
Mg 0.834 0.166 0.500
Mg 0.834 0.669 0.500
Zr 0.333 0.667 0.000
Sn 0.333 0.667 0.500

Output
Its space group is P-6m2 (187). The value obtained for the volume is 22.79 A^3/atom. As for the energy above the most stable polymorph in this dataset: 20 meV per atom. The value obtained for the total magnetization is 0.00 μB per cell.

# 2
## Tc (PBE-GGA)

Data for a relaxed structure of Tc.

Cell lengths 3.885, 3.885, 3.885 Å; angles 90.00, 90.00, 90.00 degrees
Positions (direct):
Tc 0.000 0.000 0.000
Tc 0.000 0.500 0.500
Tc 0.500 0.000 0.500
Tc 0.500 0.500 0.000

Output
Its space group is Fm-3m (225). The value obtained for the volume is 14.66 A^3/atom. As for the energy above the most stable polymorph in this dataset: 67 meV per atom.

# 3
## K3U3Si2O13 (PBE-GGA)

Data for a relaxed structure of K3U3Si2O13.

Cell lengths 9.666, 9.666, 8.464 Å; angles 90.00, 90.00, 120.00 degrees
Positions (direct):
K 0.041 0.615 0.250
K 0.385 0.426 0.250
K 0.426 0.385 0.750
K 0.574 0.959 0.250
K 0.615 0.041 0.750
K 0.959 0.574 0.750
U 0.000 0.244 0.000
U 0.000 0.244 0.500
U 0.244 0.000 0.000
U 0.244 0.000 0.500
U 0.756 0.756 0.000
U 0.756 0.756 0.500
Si 0.333 0.667 0.555
Si 0.333 0.667 0.945
Si 0.667 0.333 0.055
Si 0.667 0.333 0.445
O 0.000 0.809 0.000
O 0.000 0.809 0.500
O 0.001 0.254 0.250
O 0.179 0.502 0.008
O 0.179 0.502 0.492
O 0.191 0.191 0.000
O 0.191 0.191 0.500
O 0.253 0.999 0.250
O 0.254 0.001 0.750
O 0.323 0.821 0.008
O 0.323 0.821 0.492
O 0.333 0.667 0.750
O 0.498 0.677 0.008
O 0.498 0.677 0.492
O 0.502 0.179 0.508
O 0.502 0.179 0.992
O 0.667 0.333 0.250
O 0.677 0.498 0.508
O 0.677 0.498 0.992
O 0.746 0.747 0.250
O 0.747 0.746 0.750
O 0.809 0.000 0.000
O 0.809 0.000 0.500
O 0.821 0.323 0.508
O 0.821 0.323 0.992
O 0.999 0.253 0.750

Output
Its space group is P-62c (190). The value obtained for the volume is 16.31 A^3/atom. The value obtained for the total magnetization is 6.00 μB per cell.

# 4
## KOs2O6 (PBE-GGA)

Data for a relaxed structure of KOs2O6.

Cell lengths 5.686, 6.523, 7.356 Å; angles 65.48, 70.50, 75.77 degrees
Positions (direct):
K 0.193 0.201 0.390
K 0.807 0.799 0.610
Os 0.185 0.857 0.953
Os 0.367 0.412 0.737
Os 0.633 0.588 0.263
Os 0.815 0.143 0.047
O 0.015 0.390 0.874
O 0.099 0.980 0.174
O 0.301 0.717 0.739
O 0.303 0.539 0.463
O 0.376 0.108 0.761
O 0.485 0.689 0.041
O 0.515 0.311 0.959
O 0.624 0.892 0.239
O 0.697 0.461 0.537
O 0.699 0.283 0.261
O 0.901 0.020 0.826
O 0.985 0.610 0.126

Output
Its space group is P-1 (2). The value obtained for the volume is 12.90 A^3/atom. As for the energy above the most stable polymorph in this dataset: 0 meV per atom.

# 5
## Cu6O (PBE-GGA)

Data for a relaxed structure of Cu6O.

Cell lengths 4.717, 10.227, 30.467 Å; angles 90.00, 90.00, 90.00 degrees
Positions (direct):
Cu 0.000 0.000 0.250
Cu 0.000 0.000 0.750
Cu 0.241 0.361 0.000
Cu 0.241 0.639 0.000
Cu 0.259 0.139 0.000
Cu 0.259 0.861 0.000
Cu 0.500 0.500 0.250
Cu 0.500 0.500 0.750
Cu 0.741 0.139 0.000
Cu 0.741 0.861 0.000
Cu 0.759 0.361 0.000
Cu 0.759 0.639 0.000
O 0.000 0.000 0.000
O 0.500 0.500 0.000

Output
Its space group is Cmmm (65). The value obtained for the volume is 104.99 A^3/atom. The value obtained for the total magnetization is 3.86 μB per cell.

# 6
## Ca4Si3Pd4 (PBE-GGA)

Data for a relaxed structure of Ca4Si3Pd4.

Cell lengths 10.883, 10.883, 7.877 Å; angles 108.45, 108.45, 30.39 degrees
Positions (direct):
Ca 0.065 0.799 0.827
Ca 0.201 0.935 0.673
Ca 0.205 0.456 0.095
Ca 0.456 0.205 0.595
Ca 0.544 0.795 0.405
Ca 0.795 0.544 0.905
Ca 0.799 0.065 0.327
Ca 0.935 0.201 0.173
Si 0.039 0.304 0.565
Si 0.304 0.039 0.065
Si 0.385 0.615 0.250
Si 0.615 0.385 0.750
Si 0.696 0.961 0.935
Si 0.961 0.696 0.435
Pd 0.086 0.358 0.319
Pd 0.302 0.574 0.476
Pd 0.358 0.086 0.819
Pd 0.426 0.698 0.024
Pd 0.574 0.302 0.976
Pd 0.642 0.914 0.181
Pd 0.698 0.426 0.524
Pd 0.914 0.642 0.681

Output
Its space group is C2/c (15). The value obtained for the volume is 20.27 A^3/atom.

# 7
## AlPO4 (PBE-GGA)

Data for a relaxed structure of AlPO4.

Cell lengths 4.613, 4.613, 6.099 Å; angles 90.00, 90.00, 112.15 degrees
Positions (direct):
Al 0.000 0.000 0.000
Al 0.000 0.000 0.500
P 0.345 0.655 0.750
P 0.655 0.345 0.250
O 0.217 0.284 0.750
O 0.235 0.765 0.543
O 0.235 0.765 0.957
O 0.284 0.217 0.250
O 0.716 0.783 0.750
O 0.765 0.235 0.043
O 0.765 0.235 0.457
O 0.783 0.716 0.250

Output
Its space group is Cmcm (63). The value obtained for the volume is 10.02 A^3/atom. The value obtained for the total magnetization is 0.00 μB per cell.

# 8
## La2ZnBi4 (PBE-GGA)

Data for a relaxed structure of La2ZnBi4.

Cell lengths 4.639, 4.639, 10.250 Å; angles 90.00, 90.00, 90.00 degrees
Positions (direct):
La 0.000 0.500 0.239
La 0.500 0.000 0.761
Zn 0.000 0.000 0.000
Bi 0.000 0.000 0.500
Bi 0.000 0.500 0.844
Bi 0.500 0.000 0.156
Bi 0.500 0.500 0.500

Output
Its space group is P-4m2 (115). The value obtained for the volume is 31.51 A^3/atom.

# 9
## Na2LiAu3 (PBE-GGA)

Data for a relaxed structure of Na2LiAu3.

Cell lengths 5.618, 5.618, 8.835 Å; angles 90.00, 90.00, 120.00 degrees
Positions (direct):
Na 0.333 0.667 0.068
Na 0.333 0.667 0.432
Na 0.667 0.333 0.568
Na 0.667 0.333 0.932
Li 0.000 0.000 0.000
Li 0.000 0.000 0.500
Au 0.168 0.336 0.750
Au 0.168 0.832 0.750
Au 0.336 0.168 0.250
Au 0.664 0.832 0.750
Au 0.832 0.168 0.250
Au 0.832 0.664 0.250

Output
Its space group is P6_3/mmc (194). The value obtained for the volume is 20.13 A^3/atom.

# 10
## MgNbTl3S4 (PBE-GGA)

Data for a relaxed structure of MgNbTl3S4.

Cell lengths 7.004, 7.004, 7.004 Å; angles 107.61, 107.61, 107.61 degrees
Positions (direct):
Mg 0.000 0.000 0.000
Nb 0.625 0.625 0.625
Tl 0.060 0.060 0.534
Tl 0.060 0.534 0.060
Tl 0.534 0.060 0.060
S 0.319 0.319 0.319
S 0.674 0.674 0.985
S 0.674 0.985 0.674
S 0.985 0.674 0.674

Output
Its space group is R3m (160). The value obtained for the volume is 31.25 A^3/atom. The value obtained for the total magnetization is 0.00 μB per cell.

# 11
## U2Ta6O19 (PBE-GGA)

Data for a relaxed structure of U2Ta6O19.

Cell lengths 6.372, 6.372, 20.092 Å; angles 90.00, 90.00, 120.00 degrees
Positions (direct):
U 0.333 0.667 0.000
U 0.333 0.667 0.500
U 0.667 0.333 0.000
U 0.667 0.333 0.500
Ta 0.000 0.351 0.156
Ta 0.000 0.351 0.344
Ta 0.000 0.649 0.656
Ta 0.000 0.649 0.844
Ta 0.351 0.000 0.156
Ta 0.351 0.000 0.344
Ta 0.351 0.351 0.656
Ta 0.351 0.351 0.844
Ta 0.649 0.000 0.656
Ta 0.649 0.000 0.844
Ta 0.649 0.649 0.156
Ta 0.649 0.649 0.344
O 0.000 0.240 0.655
O 0.000 0.240 0.845
O 0.000 0.385 0.054
O 0.000 0.385 0.446
O 0.000 0.401 0.250
O 0.000 0.599 0.750
O 0.000 0.615 0.554
O 0.000 0.615 0.946
O 0.000 0.760 0.155
O 0.000 0.760 0.345
O 0.240 0.000 0.655
O 0.240 0.000 0.845
O 0.240 0.240 0.155
O 0.240 0.240 0.345
O 0.333 0.667 0.145
O 0.333 0.667 0.355
O 0.333 0.667 0.645
O 0.333 0.667 0.855
O 0.385 0.000 0.054
O 0.385 0.000 0.446
O 0.385 0.385 0.554
O 0.385 0.385 0.946
O 0.401 0.000 0.250
O 0.401 0.401 0.750
O 0.599 0.000 0.750
O 0.599 0.599 0.250
O 0.615 0.000 0.554
O 0.615 0.000 0.946
O 0.615 0.615 0.054
O 0.615 0.615 0.446
O 0.667 0.333 0.145
O 0.667 0.333 0.355
O 0.667 0.333 0.645
O 0.667 0.333 0.855
O 0.760 0.000 0.155
O 0.760 0.000 0.345
O 0.760 0.760 0.655
O 0.760 0.760 0.845

Output
Its space group is P6_3/mcm (193). The value obtained for the volume is 13.08 A^3/atom. The value obtained for the total magnetization is 8.12 μB per cell.

# 12
## RbPtO3 (PBE-GGA)

Data for a relaxed structure of RbPtO3.

Cell lengths 4.105, 4.105, 4.105 Å; angles 90.00, 90.00, 90.00 degrees
Positions (direct):
Rb 0.000 0.000 0.000
Pt 0.500 0.500 0.500
O 0.000 0.500 0.500
O 0.500 0.000 0.500
O 0.500 0.500 0.000

Output
Its space group is Pm-3m (221). The value obtained for the volume is 13.84 A^3/atom. The value obtained for the total magnetization is 1.74 μB per cell.

no.,energy (eV/atom)
1,-2.20
2,-10.29
3,-8.27
4,-7.12
5,-2.94
6,-4.90
7,-7.38
8,-4.44
9,-2.83
10,-4.40
11,-9.88
12,-4.86